# 1
CoO2: optimized geometry, PBE+U.

Output
The MP2020-corrected energy comes out at -6.735 eV per atom. The total energy is -68.8 eV/cell. As for the space-group type: P1 (1). The total magnetic moment comes out at 0.00 μB per formula unit. Its formation enthalpy at 0 K is -1.067 eV/atom.

The structure in extended XYZ format:
```
12
Lattice="-2.4035 -1.5070 0.1968 1.8538 -0.0049 2.1375 -9.5610 15.3363 7.1055" Properties=species:S:1:pos:R:3 pbc="T T T"
Co -4.7775 7.6608 3.5533
Co -7.1786 11.5104 5.3338
Co -0.5504 -1.5109 2.3341
Co -2.9343 2.3204 4.1056
O -2.9333 2.0820 2.2357
O -5.3262 5.9105 4.0172
O -7.7276 9.7602 5.7977
O -10.1106 13.5870 7.5695
O -0.0016 0.2394 1.8700
O -2.3856 4.0705 3.6413
O -4.7785 7.8993 5.4236
O -7.1793 11.7486 7.2041
```

---

# 2
CoO2: optimized geometry, PBE+U.

Output
The MP2020-corrected energy comes out at -6.092 eV per atom. The total energy is -15.3 eV/cell. As for the space-group type: Cm (8). The total magnetic moment comes out at 2.00 μB per formula unit. Its formation enthalpy at 0 K is -0.424 eV/atom.

The structure in extended XYZ format:
```
3
Lattice="2.2447 1.8838 1.1814 2.6866 0.4608 -1.6142 -10.8120 15.0886 -3.5158" Properties=species:S:1:pos:R:3 pbc="T T T"
Co -1.3536 9.7618 -2.4306
O -4.8847 8.6507 -2.4000
O -0.6782 8.4386 -1.6042
```

---

# 3
CoO2: optimized geometry, PBE+U.

Output
The MP2020-corrected energy comes out at -6.691 eV per atom. The total energy is -68.2 eV/cell. As for the space-group type: C2/m (12). Its formation enthalpy at 0 K is -1.023 eV/atom.

The structure in extended XYZ format:
```
12
Lattice="-4.8490 -0.0002 2.7995 1.6197 4.6152 2.8049 1.5910 4.6495 -2.8436" Properties=species:S:1:pos:R:3 pbc="T T T"
Co 0.7955 2.3247 -1.4218
Co -1.6290 2.3246 -0.0221
Co -0.8335 4.6494 -1.4439
Co -1.6147 2.3075 2.8022
O 1.5141 8.0493 0.1309
O -3.1524 1.2151 2.6299
O -0.9946 1.2149 1.3842
O -0.6437 8.0496 1.3765
O -0.1109 3.4292 -0.1921
O -2.4230 3.2937 1.4024
O -1.5274 5.8353 2.9528
O 0.7847 5.9707 1.3583
```

---

# 4
Co3O4: optimized geometry, PBE+U.

Output
The MP2020-corrected energy comes out at -7.145 eV per atom. The total energy is -84.7 eV/cell. As for the space-group type: Imma (74). The polymorph energy (0 for the lowest one) comes out at 30.4 meV per atom. The total magnetic moment comes out at 3.00 μB per formula unit. Its formation enthalpy at 0 K is -1.271 eV/atom.

The structure in extended XYZ format:
```
14
Lattice="4.5115 -2.9964 -2.2373 3.4645 -3.6358 3.4927 -0.4109 -5.8371 -0.3116" Properties=species:S:1:pos:R:3 pbc="T T T"
Co 1.8946 -3.1443 0.2046
Co 4.0973 -8.8066 -2.5176
Co 4.9336 -4.8748 0.7457
Co 2.4724 -6.2951 1.7085
Co 2.9959 -5.9754 -1.1565
Co 4.7282 -7.7933 0.5899
O 4.5198 -6.5088 1.9520
O 4.4679 -9.4142 1.8394
O 2.7215 -7.4808 0.2273
O 4.9884 -6.1725 -0.6596
O 2.9051 -4.8143 0.3241
O 6.7348 -8.1059 0.9525
O 4.9366 -9.0778 -0.7722
O 6.5513 -10.7724 0.8556
```

---

# 5
CoO2: optimized geometry, PBE+U.

Output
The MP2020-corrected energy comes out at -6.741 eV per atom. The total energy is -34.4 eV/cell. Its formation enthalpy at 0 K is -1.073 eV/atom.

The structure in extended XYZ format:
```
6
Lattice="1.4704 -2.4061 0.0000 0.0164 0.0100 5.0619 -3.9867 -2.4364 1.6198" Properties=species:S:1:pos:R:3 pbc="T T T"
Co -1.2581 -2.4212 0.8099
Co 0.0000 0.0000 0.0000
O -2.3207 -3.0706 2.2342
O -1.0625 -0.6493 1.4244
O -0.1792 -1.7619 4.4474
O -1.4374 -4.1832 5.2573
```

---

# 6
CoO2: optimized geometry, PBE+U.

Output
The MP2020-corrected energy comes out at -6.665 eV per atom. The total energy is -203.8 eV/cell. As for the space-group type: P3m1 (156). The total magnetic moment comes out at 1.33 μB per formula unit. Its formation enthalpy at 0 K is -0.997 eV/atom.

The structure in extended XYZ format:
```
36
Lattice="2.4659 1.5344 -4.8733 -4.8667 2.4334 1.6057 7.1553 9.8703 6.7285" Properties=species:S:1:pos:R:3 pbc="T T T"
Co 0.0470 4.5215 -1.8547
Co 1.1619 7.9804 1.4492
Co 2.3751 3.2763 2.2334
Co 2.4047 3.3426 -2.6326
Co 2.3625 5.9960 3.0834
Co 1.2100 2.5993 -0.2717
Co 2.3305 8.6901 3.9155
Co -0.0714 7.2130 3.8864
Co 2.3353 11.4018 4.7717
Co 4.7396 10.1996 3.9784
Co 3.5214 9.4416 6.3860
Co 6.8448 9.4419 6.4365
O 1.8852 1.8568 -1.7635
O -0.3794 2.9892 -1.0163
O 1.7281 4.1879 -1.1091
O 0.7681 3.7032 -3.2840
O 1.6864 7.1848 -0.1865
O -0.6499 5.6029 -0.4391
O 0.6585 0.9083 0.6192
O -2.0497 4.7319 2.3271
O 4.4013 5.8274 -1.0823
O 4.0743 5.6201 3.8312
O 3.0257 4.9714 1.6363
O 0.7127 3.3506 1.4157
O 4.0482 8.6213 4.7630
O 1.7115 7.0368 4.5448
O 0.6508 6.3731 2.3360
O 2.8041 7.7167 2.3855
O 4.0230 11.0249 5.5070
O 1.8810 9.7050 5.4781
O 2.9791 10.3883 3.3079
O 0.6477 8.7950 3.0970
O 6.4583 9.8410 4.6601
O 7.6499 10.5825 2.3052
O 5.4856 9.3712 2.4243
O 5.2982 11.7584 3.0811
```